Entry 1:
This record from Materials Project describes La3Rh2 after structural relaxation. The functional is PBE-GGA.

Space-group type = No. 148

Lattice parameters (Å, degrees): 7.7269 7.7269 7.7269 71.22 71.22 71.22
Closest atoms and distances in Å follow each position.
Fractional coordinates of all 15 atoms:
La1 0.0000 0.0000 0.0000  6 Rh 3.10
La2 0.7979 0.7979 0.7979  6 Rh 2.97-3.19
La3 0.2021 0.2021 0.2021  6 Rh 2.97-3.19
La4 0.1643 0.3904 0.6674  4 Rh 2.92-3.20
La5 0.6674 0.1643 0.3904  4 Rh 2.92-3.20
La6 0.3904 0.6674 0.1643  4 Rh 2.92-3.20
La7 0.8357 0.6096 0.3326  4 Rh 2.92-3.20
La8 0.3326 0.8357 0.6096  4 Rh 2.92-3.20
La9 0.6096 0.3326 0.8357  4 Rh 2.92-3.20
Rh1 0.9561 0.1656 0.5902  7 La 2.92-3.20, 1 Rh 3.08
Rh2 0.5902 0.9561 0.1656  7 La 2.92-3.20, 1 Rh 3.08
Rh3 0.1656 0.5902 0.9561  7 La 2.92-3.20, 1 Rh 3.08
Rh4 0.0439 0.8344 0.4098  7 La 2.92-3.20, 1 Rh 3.08
Rh5 0.4098 0.0439 0.8344  7 La 2.92-3.20, 1 Rh 3.08
Rh6 0.8344 0.4098 0.0439  7 La 2.92-3.20, 1 Rh 3.08

=====

Entry 2:
This record from Materials Project describes BiSe after structural relaxation. The functional is PBE-GGA.

Energy relative to the lowest polymorph listed for this composition = 0.145 eV/atom
Space-group type = No. 225

Lattice parameters (Å, degrees): 4.3559 4.3559 4.3559 60.00 60.00 60.00
Closest atoms and distances in Å follow each position.
Fractional coordinates of all 2 atoms:
Bi1 0.0000 0.0000 0.0000  6 Se 3.08
Se1 0.5000 0.5000 0.5000  6 Bi 3.08

=====

Entry 3:
This record from Materials Project describes Hf2InC after structural relaxation. The functional is PBE-GGA.

Space-group type = No. 194

Lattice parameters (Å, degrees): 3.3230 3.3230 14.9074 90.00 90.00 120.00
Closest atoms and distances in Å follow each position.
Fractional coordinates of all 8 atoms:
Hf1 0.3333 0.6667 0.9183  3 C 2.27
Hf2 0.6667 0.3333 0.4183  3 C 2.27
Hf3 0.6667 0.3333 0.0817  3 C 2.27
Hf4 0.3333 0.6667 0.5817  3 C 2.27
In1 0.3333 0.6667 0.2500  6 Hf 3.16, 6 In 3.32
In2 0.6667 0.3333 0.7500  6 Hf 3.16, 6 In 3.32
C1 0.0000 0.0000 0.0000  6 Hf 2.27
C2 0.0000 0.0000 0.5000  6 Hf 2.27

=====

Entry 4:
This record from Materials Project describes ThUS2 after structural relaxation. The functional is PBE-GGA.

Energy relative to the lowest polymorph listed for this composition = 0.000 eV/atom
Space-group type = No. 166

Lattice parameters (Å, degrees): 7.0740 7.0740 7.0740 31.84 31.84 31.84
Closest atoms and distances in Å follow each position.
Fractional coordinates of all 4 atoms:
Th1 0.0000 0.0000 0.0000  6 S 2.85
U1 0.5000 0.5000 0.5000  6 S 2.75
S1 0.2457 0.2457 0.2457  3 U 2.75, 3 Th 2.85
S2 0.7543 0.7543 0.7543  3 U 2.75, 3 Th 2.85

=====

Entry 5:
This record from Materials Project describes Ta2Pb2O7 after structural relaxation. The functional is PBE-GGA.

Energy relative to the lowest polymorph listed for this composition = 0.028 eV/atom
Space-group type = No. 227

Lattice parameters (Å, degrees): 7.6572 7.6572 7.6572 60.00 60.00 60.00
Closest atoms and distances in Å follow each position.
Fractional coordinates of all 22 atoms:
Ta1 0.1250 0.6250 0.1250  6 O 2.02
Ta2 0.1250 0.1250 0.6250  6 O 2.02
Ta3 0.6250 0.1250 0.1250  6 O 2.02
Ta4 0.1250 0.1250 0.1250  6 O 2.02
Pb1 0.6250 0.6250 0.6250  2 O 2.34
Pb2 0.1250 0.6250 0.6250  2 O 2.34
Pb3 0.6250 0.1250 0.6250  2 O 2.34
Pb4 0.6250 0.6250 0.1250  2 O 2.34
O1 0.7500 0.7500 0.7500  4 Pb 2.34
O2 0.1843 0.8157 0.8157  2 Ta 2.02
O3 0.1843 0.8157 0.1843  2 Ta 2.02
O4 0.8157 0.1843 0.8157  2 Ta 2.02
O5 0.1843 0.1843 0.8157  2 Ta 2.02
O6 0.8157 0.8157 0.1843  2 Ta 2.02
O7 0.4343 0.0657 0.0657  2 Ta 2.02
O8 0.8157 0.1843 0.1843  2 Ta 2.02
O9 0.0657 0.4343 0.0657  2 Ta 2.02
O10 0.0657 0.0657 0.4343  2 Ta 2.02
O11 0.4343 0.4343 0.0657  2 Ta 2.02
O12 0.4343 0.0657 0.4343  2 Ta 2.02
O13 0.0657 0.4343 0.4343  2 Ta 2.02
O14 0.5000 0.5000 0.5000  4 Pb 2.34

=====

Entry 6:
This record from Materials Project describes DyAu after structural relaxation. The functional is PBE-GGA.

Space-group type = No. 63

Lattice parameters (Å, degrees): 5.8075 5.8075 4.6976 90.00 90.00 142.70
Closest atoms and distances in Å follow each position.
Fractional coordinates of all 4 atoms:
Dy1 0.8610 0.1390 0.7500  7 Au 3.01-3.11
Dy2 0.1390 0.8610 0.2500  7 Au 3.01-3.11
Au1 0.5876 0.4124 0.7500  7 Dy 3.01-3.11, 2 Au 3.04
Au2 0.4124 0.5876 0.2500  7 Dy 3.01-3.11, 2 Au 3.04

=====

no.,ΔE_f (eV per atom)
1,-0.6617
2,-0.4067
3,-0.7091
4,-1.8480
5,-2.6984
6,-0.8836